# 1
MgCo6O6F6: optimized geometry, GGA+U.

Calculated values
Volume ... 219.64 Å³ per cell
Theoretical density ... 4.44 g cm⁻³
ΔE to the lowest computed polymorph ... 38 meV/atom
MP2020-corrected energy ... -6.280 eV/atom

extended XYZ file:
```
19
Lattice="3.0535 0.0000 0.0000 0.0096 5.0650 0.0000 1.3846 1.6096 14.2014" Properties=species:S:1:pos:R:3 pbc="T T T"
Mg 0.0000 0.0000 0.0000
Co 1.3741 4.7748 11.1568
Co 1.3401 4.1563 7.0146
Co 1.3581 4.1472 2.9087
Co 2.9080 4.2481 14.1116
Co 2.8782 1.9688 9.1645
Co 2.8576 1.2779 4.8486
O 1.3809 4.9314 13.1149
O 1.3523 1.2624 10.1230
O 1.3498 2.7641 8.2687
O 1.3426 5.5833 5.7979
O 1.5372 4.1512 0.9651
O 2.8844 5.0970 3.4832
F 1.3307 2.3908 3.8482
F 2.9160 2.5295 13.1968
F 2.8972 3.6460 10.6339
F 2.8712 5.0878 8.0116
F 2.8640 3.1390 6.0199
F 3.0650 1.8100 0.9396
```

***

# 2
MgCo6O7F5: optimized geometry, GGA+U.

Calculated values
Volume ... 216.04 Å³ per cell
Theoretical density ... 4.50 g cm⁻³
ΔE to the lowest computed polymorph ... 30 meV/atom
MP2020-corrected energy ... -6.342 eV/atom

extended XYZ file:
```
19
Lattice="5.7412 0.0000 0.0000 -2.3977 5.4239 0.0000 -1.2777 -2.6920 6.9377" Properties=species:S:1:pos:R:3 pbc="T T T"
Mg 0.0000 0.0000 0.0000
Co -1.1052 2.7936 0.1322
Co -0.4567 -1.2981 3.4469
Co 0.6846 1.7224 2.1587
Co 1.1130 -2.0634 5.8282
Co 3.3327 -0.2819 1.4482
Co 2.0733 0.8872 4.5049
O -0.9850 1.2518 1.2212
O -2.4534 1.5778 5.8489
O 0.6128 0.3851 3.4662
O 0.3126 3.3017 1.2386
O 1.7625 0.6786 0.8436
O 2.0234 -0.4897 5.8551
O 1.9374 2.3614 3.3321
F -0.7854 -1.2730 5.5504
F -1.2089 3.0650 3.9167
F 0.3342 2.2348 6.1557
F 3.5153 -0.2091 3.4104
F 3.0740 4.0115 1.3684
```

***

# 3
MgCo6O7F5: optimized geometry, GGA+U.

Calculated values
Volume ... 215.10 Å³ per cell
Theoretical density ... 4.52 g cm⁻³
ΔE to the lowest computed polymorph ... 0 meV/atom
MP2020-corrected energy ... -6.372 eV/atom

extended XYZ file:
```
19
Lattice="5.7338 0.0000 0.0000 -2.4344 5.3775 0.0000 -1.3269 -2.6870 6.9760" Properties=species:S:1:pos:R:3 pbc="T T T"
Mg 0.0000 0.0000 0.0000
Co -0.1215 1.9708 2.6273
Co -1.3886 3.0862 5.5349
Co 3.3452 -0.4274 1.3418
Co 1.8194 0.7874 4.4825
Co 4.4716 2.6670 0.0188
Co 2.6395 3.9699 3.4395
O -2.6451 1.4714 5.8058
O -1.4129 2.8671 3.7062
O 0.2862 0.3422 3.4920
O 0.0169 3.2453 1.2429
O 1.8584 -0.6349 5.7676
O 1.5441 2.3226 3.4230
O 4.5742 1.1650 1.1704
F -0.9063 -1.3186 5.5545
F 1.7655 0.5741 0.6596
F 0.2192 2.0904 6.1504
F 3.2963 -0.2715 3.3253
F 2.8709 3.9415 1.3462
```

***

# 4
MgCo6O6F6: optimized geometry, GGA+U.

Calculated values
Volume ... 215.26 Å³ per cell
Theoretical density ... 4.54 g cm⁻³
ΔE to the lowest computed polymorph ... 135 meV/atom
MP2020-corrected energy ... -6.183 eV/atom

extended XYZ file:
```
19
Lattice="4.9148 0.0000 0.0000 0.1962 4.9620 0.0000 0.2734 0.2158 8.8267" Properties=species:S:1:pos:R:3 pbc="T T T"
Mg 0.0000 0.0000 0.0000
Co 0.3776 2.3150 5.8816
Co 0.4159 2.3756 2.9520
Co 2.4088 4.7291 4.4460
Co 2.4931 4.6659 1.5506
Co 2.8444 0.2845 7.2575
Co 4.6992 2.5539 0.0328
O 0.9098 3.5533 1.3537
O 1.1678 3.3471 4.5750
O 1.6668 0.7579 2.9355
O 1.8462 1.0001 5.8859
O 3.6335 4.2378 8.7923
O 4.4123 1.5508 7.3983
F 1.1357 3.8500 7.4155
F 1.8390 1.3229 8.8226
F 3.5397 3.7080 2.9925
F 3.6710 3.9438 5.8791
F 4.1134 1.1978 1.4360
F 4.3021 1.3935 4.4590
```

***

# 5
MgCo6O2F10: optimized geometry, GGA+U.

Calculated values
Volume ... 260.62 Å³ per cell
Theoretical density ... 3.82 g cm⁻³
ΔE to the lowest computed polymorph ... 0 meV/atom
MP2020-corrected energy ... -6.033 eV/atom

extended XYZ file:
```
19
Lattice="5.2730 0.0000 0.0000 1.1540 5.1837 0.0000 2.5063 1.0280 9.5347" Properties=species:S:1:pos:R:3 pbc="T T T"
Mg 0.0000 0.0000 0.0000
Co 1.6481 1.9304 4.1226
Co 3.2234 3.6775 7.6540
Co 2.5580 1.6653 0.6912
Co 3.9596 4.3146 2.7460
Co 5.1874 4.8462 5.2676
Co 5.7777 2.1459 7.1095
O 3.7883 5.5164 4.1587
O 4.9029 3.8054 6.7917
F 2.1809 2.8344 6.0226
F 1.0929 0.5780 1.5699
F 1.5743 3.2705 0.0317
F 4.0865 1.7968 8.5218
F 2.8901 2.6699 2.4559
F 4.7926 5.1114 1.1244
F 5.4027 1.1271 5.3737
F 5.6656 3.4607 3.7054
F 6.8262 2.8456 8.9834
F 7.9032 5.6649 7.8600
```

***

# 6
MgCo6O7F5: optimized geometry, GGA+U.

Calculated values
Volume ... 213.41 Å³ per cell
Theoretical density ... 4.55 g cm⁻³
ΔE to the lowest computed polymorph ... 81 meV/atom
MP2020-corrected energy ... -6.291 eV/atom

extended XYZ file:
```
19
Lattice="4.9460 0.0000 0.0000 0.9833 4.8934 0.0000 0.0264 0.0323 8.8175" Properties=species:S:1:pos:R:3 pbc="T T T"
Mg 0.0000 0.0000 0.0000
Co 0.7357 2.5736 1.6315
Co 0.8297 2.6540 7.1380
Co 3.2889 4.6546 5.8827
Co 3.2869 4.6351 2.9066
Co 3.4382 4.4490 0.0240
Co 5.2081 2.1383 4.3978
O 1.2058 1.2767 5.8051
O 1.2078 1.3330 2.9305
O 2.2590 3.9018 1.3562
O 2.3054 3.9478 7.4902
O 4.5139 3.2298 5.7527
O 4.5124 3.1859 2.9565
O 4.7723 3.1591 0.0496
F 1.4432 1.3047 0.0417
F 2.2405 3.8300 4.3675
F 3.4395 0.6697 4.3395
F 3.5794 0.4989 7.4882
F 3.5652 0.5030 1.3467
```

***

# 7
MgCo2P2O8F2: optimized geometry, GGA+U.

Calculated values
Volume ... 178.55 Å³ per cell
Theoretical density ... 3.44 g cm⁻³
ΔE to the lowest computed polymorph ... 0 meV/atom
MP2020-corrected energy ... -7.041 eV/atom

extended XYZ file:
```
15
Lattice="5.1536 0.0000 0.0000 -0.1888 5.3775 0.0000 -2.2592 -2.7119 6.4427" Properties=species:S:1:pos:R:3 pbc="T T T"
Mg 0.0000 0.0000 0.0000
Co 1.4460 -1.3577 3.2285
Co 5.0497 2.6889 0.0115
P 0.2057 1.1608 4.7928
P 2.4887 1.5013 1.6651
O -1.1489 1.2491 5.5873
O 1.3212 1.4381 0.6131
O 0.2384 -0.2336 4.1268
O 0.2736 2.3412 3.8451
O 2.4233 0.3245 2.6162
O 2.4685 2.8939 2.3352
O 1.3667 1.2293 5.8533
O 3.8377 1.4108 0.8634
F 0.0549 4.0491 1.5074
F 2.6510 -1.3773 4.9508
```

***

# 8
MgCo2P2O8F2: optimized geometry, GGA+U.

Calculated values
Volume ... 182.31 Å³ per cell
Theoretical density ... 3.37 g cm⁻³
ΔE to the lowest computed polymorph ... 10 meV/atom
MP2020-corrected energy ... -7.031 eV/atom

extended XYZ file:
```
15
Lattice="5.2535 0.0000 0.0000 -0.6563 5.3175 0.0000 -2.2363 -2.6571 6.5262" Properties=species:S:1:pos:R:3 pbc="T T T"
Mg 0.0000 0.0000 0.0000
Co 1.5864 3.7684 1.4973
Co 3.3459 -0.1095 4.5749
P 0.7767 1.0303 2.9992
P 0.6494 -1.3175 6.3418
O -0.4201 0.7430 3.9435
O -0.7205 -1.5548 5.6668
O 0.8782 -0.1159 1.9246
O 0.4913 2.3308 2.2305
O 2.8242 2.6619 0.6237
O 3.2972 0.0977 0.6747
O 2.0285 1.1360 3.8868
O 1.8890 -1.2467 5.3934
F -1.9185 1.0044 6.3152
F 2.6296 3.9767 3.0795
```

***

# 9
RbMgCoF6: optimized geometry, GGA+U.

Calculated values
Volume ... 278.99 Å³ per cell
Theoretical density ... 3.37 g cm⁻³
MP2020-corrected energy ... -5.262 eV/atom

extended XYZ file:
```
18
Lattice="-3.6413 3.6796 5.2056 3.6413 -3.6796 5.2056 3.6413 3.6796 -5.2056" Properties=species:S:1:pos:R:3 pbc="T T T"
Rb 0.0000 1.8398 1.2271
Rb 3.6413 1.8398 3.9785
Mg 1.8207 1.8398 -2.6028
Mg 1.8207 -1.8398 2.6028
Co 3.6413 0.0000 0.0000
Co 0.0000 0.0000 5.2056
F 3.6413 -1.8398 3.3355
F 2.2587 -0.3783 1.2713
F 5.0240 -0.3783 1.2713
F 3.6413 1.8398 0.7004
F 2.2587 3.3013 -1.2713
F 1.3827 -0.3783 3.9343
F 2.2587 4.0579 1.2713
F 1.3827 0.3783 6.4769
F 0.0000 1.8398 4.5052
F -1.3827 4.0579 3.9343
F 1.3827 4.0579 3.9343
F 0.0000 5.5195 1.8701
```

***

# 10
CoSb2N6F9: optimized geometry, GGA+U.

Calculated values
Volume ... 746.51 Å³ per cell
Theoretical density ... 2.48 g cm⁻³
MP2020-corrected energy ... -5.684 eV/atom

extended XYZ file:
```
36
Lattice="8.3059 0.0000 0.0000 0.0000 7.9576 0.0000 -2.7981 0.0000 11.2945" Properties=species:S:1:pos:R:3 pbc="T T T"
Co 1.3759 0.0000 1.9974
Co 4.1319 3.9788 9.2971
Sb -1.4271 0.9525 6.5889
Sb 3.7454 3.7992 0.7367
Sb 1.7624 7.7780 10.5578
Sb 6.9349 4.9313 4.7056
N -0.3003 1.2553 1.4382
N -1.5791 5.8350 9.6689
N 0.6289 6.6999 2.6476
N 1.9812 1.0214 3.0589
N 1.7548 2.4196 7.5160
N 2.2772 2.7944 6.6068
N 3.2306 6.7732 4.6877
N 3.7530 6.3984 3.7785
N 3.5266 5.0002 8.2356
N 4.8789 2.7211 8.6469
N 7.0870 1.8562 1.6256
N 5.8081 5.2341 9.8563
F -1.2393 2.7705 7.0668
F -0.0379 3.6349 4.3923
F -0.4017 5.4774 6.2426
F -0.5958 0.4123 8.2028
F 0.1229 0.5618 5.6049
F 1.9361 3.9493 1.4643
F 2.3415 7.5142 0.5557
F 0.2044 3.1326 10.3779
F 1.5233 5.9189 9.9827
F 3.9845 1.9402 1.3118
F 5.3034 7.1114 0.9166
F 3.1663 3.5355 10.7388
F 3.5717 7.9281 9.8302
F 5.3849 4.5405 5.6896
F 6.1036 4.3911 3.0917
F 5.9095 1.4986 5.0519
F 5.5458 7.6137 6.9022
F 6.7472 6.7493 4.2277
```

***

# 11
NaCoF3: optimized geometry, GGA+U.

Calculated values
Volume ... 245.30 Å³ per cell
Theoretical density ... 3.76 g cm⁻³
MP2020-corrected energy ... -5.440 eV/atom

extended XYZ file:
```
20
Lattice="5.6692 0.0000 0.0000 0.0000 7.8825 0.0000 0.0000 0.0000 5.4891" Properties=species:S:1:pos:R:3 pbc="T T T"
Na 0.3128 1.9706 0.0812
Na 2.5218 5.9119 2.8258
Na 3.1475 1.9706 2.6633
Na 5.3564 5.9119 5.4079
Co 0.0000 0.0000 2.7446
Co 0.0000 3.9413 2.7446
Co 2.8346 0.0000 0.0000
Co 2.8346 3.9413 0.0000
F 0.2252 5.9119 2.1655
F 1.1337 4.3785 4.4170
F 1.1337 7.4452 4.4170
F 1.7009 0.4373 1.6724
F 1.7009 3.5040 1.6724
F 2.6094 1.9706 4.9101
F 3.0598 5.9119 0.5790
F 3.9683 4.3785 3.8167
F 3.9683 7.4452 3.8167
F 4.5355 0.4373 1.0721
F 4.5355 3.5040 1.0721
F 5.4440 1.9706 3.3236
```

***

# 12
NaCoF3: optimized geometry, GGA+U.

Calculated values
Volume ... 119.80 Å³ per cell
Theoretical density ... 3.85 g cm⁻³
MP2020-corrected energy ... -5.422 eV/atom

extended XYZ file:
```
10
Lattice="1.5441 -5.1547 0.0000 1.5441 5.1547 0.0000 0.0000 0.0000 7.5260" Properties=species:S:1:pos:R:3 pbc="T T T"
Na 1.5441 2.6197 5.6445
Na 1.5441 -2.6197 1.8815
Co 1.5441 0.0000 0.0000
Co 1.5441 0.0000 3.7630
F 1.5441 3.8204 0.4443
F 1.5441 3.8204 3.3187
F 1.5441 0.7945 1.8815
F 1.5441 -0.7945 5.6445
F 1.5441 -3.8204 4.2073
F 1.5441 -3.8204 7.0817
```

***

Question: The lowest volume belongs to which entry?
Answer: number 12

***

Question: theoretical density of number 8 (MgCo2P2O8F2)?
Answer: 3.37 g cm⁻³